# 1
# r2SCAN Cr2Se3, optimized geometry
data_Cr2Se3
_cell_length_a 6.3340
_cell_length_b 6.3340
_cell_length_c 17.6557
_cell_angle_alpha 90.00
_cell_angle_beta 90.00
_cell_angle_gamma 120.00
_symmetry_space_group_name_H-M 'R -3'
_symmetry_Int_Tables_number 148
_symmetry_space_group_name_Hall '-R 3'
loop_
_atom_site_label
_atom_site_fract_x
_atom_site_fract_y
_atom_site_fract_z
Cr1 0.0000 0.0000 0.0000
Cr2 0.0000 0.0000 0.1757
Cr3 0.0000 0.0000 0.5000
Se1 0.0084 0.3254 0.0872
# - theoretical density (Mg/m³) = 5.5
# - formation energy from the elements (meV/atom) = -827.6
# - E (eV for the cell shown) = -463.32


# 2
# r2SCAN Cr5Se8, optimized geometry
data_Cr5Se8
_cell_length_a 11.682
_cell_length_b 7.247
_cell_length_c 8.502
_cell_angle_alpha 90.00
_cell_angle_beta 132.31
_cell_angle_gamma 90.00
_symmetry_space_group_name_H-M 'C 1 2/m 1'
_symmetry_Int_Tables_number 12
_symmetry_space_group_name_Hall '-C 2y'
loop_
_atom_site_label
_atom_site_fract_x
_atom_site_fract_y
_atom_site_fract_z
Cr1 0.000 0.000 0.000
Cr2 0.000 0.270 0.500
Cr3 0.230 0.500 0.990
Se1 0.022 0.000 0.322
Se2 0.046 0.500 0.333
Se3 0.213 0.241 0.170
# - theoretical density (Mg/m³) = 5.6
# - formation energy from the elements (meV/atom) = -791.8
# - E (eV for the cell shown) = -400.31


# 3
# r2SCAN Cr2Se3, optimized geometry
data_Cr2Se3
_cell_length_a 6.962
_cell_length_b 7.306
_cell_length_c 8.605
_cell_angle_alpha 89.55
_cell_angle_beta 75.89
_cell_angle_gamma 73.82
_symmetry_space_group_name_H-M 'P -1'
_symmetry_Int_Tables_number 2
_symmetry_space_group_name_Hall '-P 1'
loop_
_atom_site_label
_atom_site_fract_x
_atom_site_fract_y
_atom_site_fract_z
Cr1 0.027 0.250 0.002
Cr2 0.320 0.407 0.653
Cr3 0.331 0.670 0.170
Cr4 0.343 0.925 0.657
Se1 0.043 0.977 0.188
Se2 0.057 0.494 0.194
Se3 0.281 0.176 0.469
Se4 0.291 0.682 0.472
Se5 0.376 0.651 0.860
Se6 0.396 0.152 0.853
# - theoretical density (Mg/m³) = 5.6
# - formation energy from the elements (meV/atom) = -820.2
# - E (eV for the cell shown) = -308.73


# 4
# r2SCAN Sm3CrSe6, optimized geometry
data_Sm3CrSe6
_cell_length_a 14.143
_cell_length_b 16.927
_cell_length_c 4.005
_cell_angle_alpha 90.00
_cell_angle_beta 90.00
_cell_angle_gamma 90.00
_symmetry_space_group_name_H-M 'P n n m'
_symmetry_Int_Tables_number 58
_symmetry_space_group_name_Hall '-P 2 2n'
loop_
_atom_site_label
_atom_site_fract_x
_atom_site_fract_y
_atom_site_fract_z
Sm1 0.052 0.221 0.000
Sm2 0.180 0.648 0.000
Sm3 0.242 0.904 0.500
Cr1 0.000 0.000 0.500
Cr2 0.000 0.500 0.500
Se1 0.023 0.403 0.000
Se2 0.080 0.925 0.000
Se3 0.102 0.755 0.500
Se4 0.122 0.106 0.500
Se5 0.179 0.520 0.500
Se6 0.190 0.290 0.500
# - theoretical density (Mg/m³) = 6.8
# - formation energy from the elements (meV/atom) = -1858.1
# - E (eV for the cell shown) = -834.89


# 5
# r2SCAN Ta4CrSe8, optimized geometry
data_Ta4CrSe8
_cell_length_a 6.9381
_cell_length_b 6.9381
_cell_length_c 12.8658
_cell_angle_alpha 90.00
_cell_angle_beta 90.00
_cell_angle_gamma 120.00
_symmetry_space_group_name_H-M 'P 63/m m c'
_symmetry_Int_Tables_number 194
_symmetry_space_group_name_Hall '-P 6c 2c'
loop_
_atom_site_label
_atom_site_fract_x
_atom_site_fract_y
_atom_site_fract_z
Ta1 0.0000 0.0000 0.2500
Ta2 0.0192 0.5096 0.2500
Cr1 0.0000 0.0000 0.0000
Se1 0.1682 0.3363 0.6224
Se2 0.3333 0.6667 0.1151
# - theoretical density (Mg/m³) = 8.7
# - formation energy from the elements (meV/atom) = -935.2
# - E (eV for the cell shown) = -672.18


# 6
# r2SCAN Cr3Te2Se2, optimized geometry
data_Cr3Te2Se2
_cell_length_a 13.779
_cell_length_b 3.885
_cell_length_c 6.672
_cell_angle_alpha 90.00
_cell_angle_beta 116.64
_cell_angle_gamma 90.00
_symmetry_space_group_name_H-M 'C 1 2/m 1'
_symmetry_Int_Tables_number 12
_symmetry_space_group_name_Hall '-C 2y'
loop_
_atom_site_label
_atom_site_fract_x
_atom_site_fract_y
_atom_site_fract_z
Cr1 0.000 0.000 0.000
Cr2 0.238 0.500 0.772
Te1 0.131 0.500 0.301
Se1 0.130 0.000 0.815
# - theoretical density (Mg/m³) = 5.9
# - formation energy from the elements (meV/atom) = -638.5
# - E (eV for the cell shown) = -258.29


# 7
# r2SCAN Ti2CrSe4, optimized geometry
data_Ti2CrSe4
_cell_length_a 13.515
_cell_length_b 3.582
_cell_length_c 6.395
_cell_angle_alpha 90.00
_cell_angle_beta 116.02
_cell_angle_gamma 90.00
_symmetry_space_group_name_H-M 'C 1 2/m 1'
_symmetry_Int_Tables_number 12
_symmetry_space_group_name_Hall '-C 2y'
loop_
_atom_site_label
_atom_site_fract_x
_atom_site_fract_y
_atom_site_fract_z
Ti1 0.244 0.000 0.208
Cr1 0.000 0.500 0.500
Se1 0.115 0.500 0.952
Se2 0.134 0.000 0.474
# - theoretical density (Mg/m³) = 5.5
# - formation energy from the elements (meV/atom) = -1170.8
# - E (eV for the cell shown) = -212.78


# 8
# r2SCAN TlCr5Se8, optimized geometry
data_TlCr5Se8
_cell_length_a 18.931
_cell_length_b 3.669
_cell_length_c 9.064
_cell_angle_alpha 90.00
_cell_angle_beta 105.05
_cell_angle_gamma 90.00
_symmetry_space_group_name_H-M 'C 1 2/m 1'
_symmetry_Int_Tables_number 12
_symmetry_space_group_name_Hall '-C 2y'
loop_
_atom_site_label
_atom_site_fract_x
_atom_site_fract_y
_atom_site_fract_z
Tl1 0.000 0.000 0.000
Cr1 0.000 0.500 0.500
Cr2 0.158 0.000 0.475
Cr3 0.204 0.000 0.834
Se1 0.076 0.000 0.653
Se2 0.084 0.500 0.322
Se3 0.170 0.500 0.990
Se4 0.238 0.500 0.656
# - theoretical density (Mg/m³) = 6.0
# - formation energy from the elements (meV/atom) = -819.1
# - E (eV for the cell shown) = -509.01


Repeat the third record exactly.
# r2SCAN Cr2Se3, optimized geometry
data_Cr2Se3
_cell_length_a 6.962
_cell_length_b 7.306
_cell_length_c 8.605
_cell_angle_alpha 89.55
_cell_angle_beta 75.89
_cell_angle_gamma 73.82
_symmetry_space_group_name_H-M 'P -1'
_symmetry_Int_Tables_number 2
_symmetry_space_group_name_Hall '-P 1'
loop_
_atom_site_label
_atom_site_fract_x
_atom_site_fract_y
_atom_site_fract_z
Cr1 0.027 0.250 0.002
Cr2 0.320 0.407 0.653
Cr3 0.331 0.670 0.170
Cr4 0.343 0.925 0.657
Se1 0.043 0.977 0.188
Se2 0.057 0.494 0.194
Se3 0.281 0.176 0.469
Se4 0.291 0.682 0.472
Se5 0.376 0.651 0.860
Se6 0.396 0.152 0.853
# - theoretical density (Mg/m³) = 5.6
# - formation energy from the elements (meV/atom) = -820.2
# - E (eV for the cell shown) = -308.73